Sr2VMoO6 | PBE+U | relaxed

a b c (Å): 5.666 5.698 7.915
angles (deg): 89.98 90.00 89.95
Fractional positions:
Sr 0.500 0.997 0.230
Sr 0.500 0.003 0.770
Sr 0.000 0.503 0.230
Sr 0.000 0.497 0.770
O 0.249 0.749 0.457
O 0.250 0.250 0.983
O 0.750 0.750 0.017
O 0.490 0.547 0.762
O 0.751 0.251 0.543
O 0.750 0.250 0.975
O 0.250 0.750 0.025
O 0.010 0.953 0.762
O 0.251 0.249 0.528
O 0.510 0.453 0.238
O 0.749 0.751 0.472
O 0.990 0.047 0.238
V 0.500 0.500 0.000
V 0.000 0.000 0.000
Mo 0.000 0.000 0.500
Mo 0.500 0.500 0.500

Results
Space-group type: P-1
Density, Mg/m³: 5.43
Final energy, Ry/atom: -0.5205

---

Li9Co2O8 | PBE+U | relaxed

a b c (Å): 9.120 9.277 9.301
angles (deg): 90.00 90.00 90.00
Fractional positions:
Li 0.140 0.349 0.633
Li 0.896 0.886 0.087
Li 0.604 0.120 0.099
Li 0.346 0.385 0.860
Li 0.846 0.615 0.140
Li 0.846 0.115 0.860
Li 0.862 0.369 0.647
Li 0.585 0.879 0.589
Li 0.104 0.380 0.099
Li 0.396 0.114 0.913
Li 0.665 0.609 0.634
Li 0.372 0.351 0.128
Li 0.896 0.386 0.913
Li 0.396 0.614 0.087
Li 0.085 0.621 0.589
Li 0.104 0.880 0.901
Li 0.604 0.620 0.901
Li 0.346 0.885 0.140
Li 0.140 0.849 0.367
Li 0.362 0.131 0.647
Li 0.165 0.891 0.634
Li 0.142 0.115 0.134
Li 0.872 0.649 0.872
Li 0.665 0.109 0.366
Li 0.872 0.149 0.128
Li 0.862 0.869 0.353
Li 0.142 0.615 0.866
Li 0.085 0.121 0.411
Li 0.372 0.851 0.872
Li 0.642 0.885 0.866
Li 0.362 0.631 0.353
Li 0.640 0.651 0.367
Li 0.165 0.391 0.366
Li 0.640 0.151 0.633
Li 0.585 0.379 0.411
Li 0.642 0.385 0.134
Co 0.120 0.149 0.862
Co 0.878 0.869 0.627
Co 0.378 0.131 0.373
Co 0.620 0.351 0.862
Co 0.120 0.649 0.138
Co 0.378 0.631 0.627
Co 0.620 0.851 0.138
Co 0.878 0.369 0.373
O 0.751 0.486 0.280
O 0.747 0.490 0.785
O 0.001 0.952 0.502
O 0.247 0.510 0.215
O 0.255 0.736 0.514
O 0.000 0.038 0.993
O 0.747 0.990 0.215
O 0.003 0.761 0.741
O 0.500 0.462 0.993
O 0.755 0.264 0.486
O 0.503 0.739 0.741
O 0.742 0.751 0.002
O 0.242 0.249 0.998
O 0.503 0.239 0.259
O 0.742 0.251 0.998
O 0.251 0.514 0.720
O 0.755 0.764 0.514
O 0.501 0.548 0.502
O 0.994 0.763 0.231
O 0.242 0.749 0.002
O 0.255 0.236 0.486
O 0.500 0.962 0.007
O 0.001 0.452 0.498
O 0.751 0.986 0.720
O 0.000 0.538 0.007
O 0.251 0.014 0.280
O 0.494 0.737 0.231
O 0.494 0.237 0.769
O 0.247 0.010 0.785
O 0.994 0.263 0.769
O 0.501 0.048 0.498
O 0.003 0.261 0.259

Results
Space-group type: Pca2_1
Density, Mg/m³: 2.60
Final energy, Ry/atom: -0.3769

---

CaBiMoO5 | PBE+U | relaxed

a b c (Å): 5.536 10.944 16.527
angles (deg): 90.00 90.00 90.00
Fractional positions:
Bi 0.450 0.647 0.225
Bi 0.550 0.853 0.725
Bi 0.050 0.147 0.775
Bi 0.050 0.647 0.725
Bi 0.550 0.353 0.775
Bi 0.950 0.853 0.225
Bi 0.450 0.147 0.275
Bi 0.950 0.353 0.275
Ca 0.478 0.638 0.558
Ca 0.522 0.362 0.442
Ca 0.022 0.138 0.442
Ca 0.978 0.362 0.942
Ca 0.978 0.862 0.558
Ca 0.522 0.862 0.058
Ca 0.478 0.138 0.942
Ca 0.022 0.638 0.058
O 0.276 0.784 0.462
O 0.723 0.962 0.945
O 0.426 0.176 0.700
O 0.724 0.216 0.538
O 0.744 0.729 0.151
O 0.277 0.038 0.055
O 0.256 0.771 0.651
O 0.776 0.216 0.038
O 0.724 0.716 0.962
O 0.824 0.982 0.124
O 0.574 0.824 0.300
O 0.256 0.271 0.849
O 0.244 0.771 0.151
O 0.223 0.038 0.555
O 0.074 0.676 0.300
O 0.074 0.176 0.200
O 0.824 0.482 0.376
O 0.244 0.271 0.349
O 0.676 0.482 0.876
O 0.756 0.229 0.849
O 0.777 0.462 0.055
O 0.324 0.018 0.376
O 0.324 0.518 0.124
O 0.723 0.462 0.555
O 0.224 0.284 0.538
O 0.926 0.824 0.800
O 0.744 0.229 0.349
O 0.276 0.284 0.038
O 0.926 0.324 0.700
O 0.223 0.538 0.945
O 0.756 0.729 0.651
O 0.777 0.962 0.445
O 0.426 0.676 0.800
O 0.676 0.982 0.624
O 0.277 0.538 0.445
O 0.776 0.716 0.462
O 0.574 0.324 0.200
O 0.176 0.518 0.624
O 0.176 0.018 0.876
O 0.224 0.784 0.962
Mo 0.487 0.122 0.591
Mo 0.987 0.378 0.591
Mo 0.513 0.378 0.091
Mo 0.487 0.622 0.909
Mo 0.513 0.878 0.409
Mo 0.987 0.878 0.909
Mo 0.013 0.122 0.091
Mo 0.013 0.622 0.409

Results
Space-group type: Pbca
Density, Mg/m³: 5.64
Final energy, Ry/atom: -0.4880

---

Sr4Ca4Mn7FeO24 | PBE+U | relaxed

a b c (Å): 7.709 7.709 7.708
angles (deg): 89.99 89.99 90.00
Fractional positions:
O 0.750 0.500 0.499
O 0.003 0.498 0.251
O 0.002 0.002 0.255
O 0.000 0.749 0.499
O 0.503 0.503 0.750
O 0.500 0.251 0.006
O 0.250 0.500 0.494
O 0.000 0.255 0.005
O 0.000 0.251 0.494
O 0.500 0.750 0.499
O 0.749 0.000 0.499
O 0.749 0.500 0.001
O 0.997 0.502 0.749
O 0.255 0.000 0.005
O 0.745 0.000 0.001
O 0.500 0.250 0.494
O 0.500 0.749 0.001
O 0.502 0.997 0.749
O 0.498 0.003 0.251
O 0.497 0.497 0.250
O 0.000 0.745 0.001
O 0.998 0.998 0.745
O 0.251 0.000 0.494
O 0.251 0.500 0.006
Sr 0.750 0.250 0.750
Sr 0.250 0.250 0.750
Sr 0.750 0.750 0.250
Sr 0.250 0.750 0.750
Mn 0.500 0.000 0.001
Mn 0.500 0.000 0.499
Mn 0.000 0.500 0.001
Mn 0.500 0.500 0.001
Mn 0.000 0.500 0.499
Mn 0.500 0.500 0.499
Mn 0.000 0.000 0.499
Ca 0.250 0.250 0.250
Ca 0.250 0.750 0.250
Ca 0.750 0.250 0.250
Ca 0.750 0.750 0.750
Fe 0.000 0.000 0.001

Results
Space-group type: Cm
Density, Mg/m³: 4.84
Final energy, Ry/atom: -0.4996

---

YV2O4 | PBE+U | relaxed

a b c (Å): 6.419 6.419 6.419
angles (deg): 58.70 58.70 58.70
Fractional positions:
V 0.000 0.500 0.000
V 0.000 0.000 0.500
V 0.500 0.000 0.000
V 0.000 0.000 0.000
O 0.791 0.240 0.240
O 0.236 0.236 0.236
O 0.760 0.760 0.209
O 0.760 0.209 0.760
O 0.764 0.764 0.764
O 0.240 0.791 0.240
O 0.209 0.760 0.760
O 0.240 0.240 0.791
Y 0.375 0.375 0.375
Y 0.625 0.625 0.625

Results
Space-group type: R-3m
Density, Mg/m³: 4.66
Final energy, Ry/atom: -0.6100

---

In2FeSbO7 | PBE+U | relaxed

a b c (Å): 7.221 7.221 7.221
angles (deg): 120.13 119.57 90.26
Fractional positions:
Sb 0.500 0.500 0.000
Sb 0.000 0.500 0.500
O 0.405 0.167 0.828
O 0.161 0.833 0.738
O 0.602 0.852 0.750
O 0.595 0.833 0.172
O 0.173 0.423 0.750
O 0.839 0.167 0.262
O 0.827 0.577 0.250
O 0.595 0.424 0.762
O 0.161 0.424 0.328
O 0.405 0.576 0.238
O 0.117 0.867 0.250
O 0.883 0.133 0.750
O 0.398 0.148 0.250
O 0.839 0.576 0.672
Fe 0.500 0.000 0.000
Fe 0.500 0.500 0.500
In 0.000 0.000 0.500
In 0.000 0.500 0.000
In 0.500 0.000 0.500
In 0.000 0.000 0.000

Results
Space-group type: Imma
Density, Mg/m³: 6.46
Final energy, Ry/atom: -0.4404

---

Zr9V9O2 | PBE+U | relaxed

a b c (Å): 8.795 8.795 21.707
angles (deg): 89.97 89.97 60.06
Fractional positions:
V 0.333 0.834 0.167
V 0.114 0.773 0.097
V 0.667 0.667 0.124
V 0.002 0.002 0.792
V 0.227 0.886 0.903
V 0.886 0.227 0.903
V 0.779 0.779 0.431
V 0.665 0.665 0.333
V 0.166 0.667 0.833
V 0.445 0.445 0.765
V 0.333 0.333 0.876
V 0.446 0.110 0.764
V 0.335 0.335 0.667
V 0.333 0.333 0.459
V 0.998 0.998 0.208
V 0.833 0.833 0.166
V 0.110 0.110 0.097
V 0.222 0.557 0.569
V 0.834 0.333 0.167
V 0.500 0.500 0.500
V 0.555 0.555 0.235
V 0.221 0.221 0.569
V 0.500 0.000 0.500
V 0.554 0.890 0.236
V 0.773 0.114 0.097
V 0.110 0.446 0.764
V 0.443 0.778 0.431
V 0.890 0.890 0.903
V 0.890 0.554 0.236
V 0.000 0.000 0.000
V 0.557 0.222 0.569
V 0.667 0.166 0.833
V 0.000 0.500 0.500
V 0.667 0.667 0.541
V 0.167 0.167 0.834
V 0.778 0.443 0.431
Zr 0.793 0.412 0.771
Zr 0.083 0.459 0.355
Zr 0.207 0.588 0.229
Zr 0.206 0.206 0.230
Zr 0.872 0.872 0.562
Zr 0.459 0.078 0.104
Zr 0.541 0.922 0.896
Zr 0.872 0.255 0.562
Zr 0.539 0.539 0.894
Zr 0.917 0.541 0.645
Zr 0.459 0.083 0.355
Zr 0.874 0.251 0.313
Zr 0.795 0.415 0.023
Zr 0.585 0.205 0.977
Zr 0.251 0.874 0.313
Zr 0.128 0.128 0.438
Zr 0.255 0.872 0.562
Zr 0.415 0.795 0.023
Zr 0.460 0.460 0.355
Zr 0.588 0.207 0.229
Zr 0.126 0.749 0.687
Zr 0.461 0.461 0.106
Zr 0.922 0.541 0.896
Zr 0.791 0.791 0.020
Zr 0.745 0.128 0.438
Zr 0.078 0.459 0.104
Zr 0.128 0.745 0.438
Zr 0.875 0.875 0.313
Zr 0.209 0.209 0.980
Zr 0.540 0.540 0.645
Zr 0.541 0.917 0.645
Zr 0.412 0.793 0.771
Zr 0.794 0.794 0.770
Zr 0.749 0.126 0.687
Zr 0.125 0.125 0.687
Zr 0.205 0.585 0.977
O 0.167 0.666 0.334
O 0.166 0.166 0.334
O 0.500 0.000 0.000
O 0.834 0.834 0.666
O 0.833 0.334 0.666
O 0.334 0.833 0.666
O 0.000 0.500 0.000
O 0.666 0.167 0.334

Results
Space-group type: C2/m
Density, Mg/m³: 5.99
Final energy, Ry/atom: -0.5446

---

YMoO4F | PBE+U | relaxed

a b c (Å): 12.461 5.279 6.748
angles (deg): 66.92 90.00 90.00
Fractional positions:
O 0.653 0.238 0.908
O 0.069 0.003 0.163
O 0.277 0.192 0.295
O 0.569 0.997 0.337
O 0.565 0.692 0.038
O 0.065 0.308 0.462
O 0.847 0.238 0.408
O 0.435 0.308 0.962
O 0.431 0.003 0.663
O 0.347 0.762 0.092
O 0.223 0.192 0.795
O 0.935 0.692 0.538
O 0.777 0.808 0.205
O 0.931 0.997 0.837
O 0.723 0.808 0.705
O 0.153 0.762 0.592
F 0.402 0.545 0.537
F 0.098 0.545 0.037
F 0.902 0.455 0.963
F 0.598 0.455 0.463
Y 0.551 0.639 0.700
Y 0.449 0.361 0.300
Y 0.051 0.361 0.800
Y 0.949 0.639 0.200
Mo 0.643 0.922 0.130
Mo 0.143 0.078 0.370
Mo 0.857 0.922 0.630
Mo 0.357 0.078 0.870

Results
Space-group type: P2_1/c
Density, Mg/m³: 4.36
Final energy, Ry/atom: -0.5615

---

Li4Nb3Cr2Fe3O16 | PBE+U | relaxed

a b c (Å): 6.118 6.121 9.773
angles (deg): 89.60 91.61 119.95
Fractional positions:
O 0.310 0.654 0.599
O 0.468 0.512 0.843
O 0.039 0.518 0.834
O 0.177 0.839 0.100
O 0.855 0.178 0.600
O 0.332 0.167 0.606
O 0.022 0.011 0.816
O 0.518 0.476 0.344
O 0.466 0.956 0.846
O 0.857 0.677 0.600
O 0.956 0.485 0.342
O 0.187 0.336 0.098
O 0.013 0.995 0.307
O 0.507 0.043 0.352
O 0.669 0.827 0.099
O 0.652 0.340 0.099
Li 0.978 0.992 0.002
Li 0.966 0.983 0.486
Li 0.324 0.665 0.383
Li 0.662 0.332 0.904
Cr 0.686 0.345 0.475
Cr 0.344 0.667 0.995
Fe 0.825 0.166 0.213
Fe 0.830 0.661 0.213
Fe 0.662 0.833 0.716
Nb 0.178 0.836 0.712
Nb 0.174 0.338 0.713
Nb 0.343 0.166 0.211

Results
Space-group type: P1
Density, Mg/m³: 4.37
Final energy, Ry/atom: -0.5431

---

Question: Which of these has the highest final energy?
Answer: Li9Co2O8

---

Question: Among the records above, which one has the lowest density?
Answer: Li9Co2O8

---

Question: density of number 3 (CaBiMoO5)?
Answer: 5.64 Mg/m³